1.
First-principles (PBE) data for a geometry-optimized TiO structure, as listed in the Materials Project database.

a b c (Å): 10.3271 10.6723 10.8569
angles (deg): 81.75 87.65 85.80
With the nearest neighbours (Å) after each atom.
Space group P1 (No. 1)
Asymmetric unit:
Ti (0.0000, 0.0000, 0.0000) (multiplicity 1)  3 O 2.12-2.19
Ti (0.0000, 0.0665, 0.7353) (multiplicity 1)  4 O 1.95-2.05
Ti (0.0251, 0.2439, 0.5506) (multiplicity 1)  4 O 2.04-2.21
Ti (0.0437, 0.4811, 0.5690) (multiplicity 1)  3 O 2.02-2.06
Ti (0.0457, 0.7089, 0.0924) (multiplicity 1)  5 O 2.06-2.14
Ti (0.0482, 0.7790, 0.3472) (multiplicity 1)  5 O 1.97-2.15
Ti (0.0524, 0.8175, 0.8224) (multiplicity 1)  2 O 2.05-2.11
Ti (0.0546, 0.9983, 0.4798) (multiplicity 1)  5 O 2.06-2.21
Ti (0.0768, 0.3094, 0.8216) (multiplicity 1)  3 O 2.03-2.19
Ti (0.0841, 0.2285, 0.2805) (multiplicity 1)  4 O 2.01-2.10
Ti (0.0925, 0.3972, 0.0675) (multiplicity 1)  2 O 1.95-2.06
Ti (0.1728, 0.5656, 0.7983) (multiplicity 1)  2 O 1.93-2.14
Ti (0.2096, 0.1272, 0.0785) (multiplicity 1)  3 O 1.95-2.04
Ti (0.2236, 0.5643, 0.2693) (multiplicity 1)  4 O 1.98-2.08
Ti (0.2397, 0.0437, 0.8209) (multiplicity 1)  5 O 2.04-2.26
Ti (0.2523, 0.8469, 0.1988) (multiplicity 1)  6 O 2.06-2.30
Ti (0.2561, 0.6125, 0.5214) (multiplicity 1)  3 O 1.99-2.20
Ti (0.2860, 0.3137, 0.6595) (multiplicity 1)  3 O 2.04-2.11
Ti (0.2865, 0.8147, 0.6726) (multiplicity 1)  3 O 1.97-2.02
Ti (0.2931, 0.0623, 0.3385) (multiplicity 1)  5 O 2.02-2.20
Ti (0.2955, 0.3146, 0.4067) (multiplicity 1)  5 O 2.11-2.24
Ti (0.3034, 0.8051, 0.9498) (multiplicity 1)  3 O 1.98-2.03
Ti (0.3380, 0.3009, 0.9058) (multiplicity 1)  4 O 2.06-2.16
Ti (0.3485, 0.3135, 0.1633) (multiplicity 1)  5 O 2.06-2.16
Ti (0.3984, 0.8205, 0.4263) (multiplicity 1)  4 O 1.91-2.07
Ti (0.4147, 0.5713, 0.0867) (multiplicity 1)  3 O 1.94-2.02
Ti (0.4931, 0.5453, 0.6389) (multiplicity 1)  5 O 1.99-2.15
Ti (0.5113, 0.0730, 0.5422) (multiplicity 1)  3 O 1.93-2.00
Ti (0.5231, 0.9818, 0.8521) (multiplicity 1)  4 O 1.96-2.19
Ti (0.5302, 0.5866, 0.3308) (multiplicity 1)  6 O 2.10-2.17
Ti (0.5352, 0.8893, 0.1085) (multiplicity 1)  2 O 1.94-1.99
Ti (0.5578, 0.2437, 0.7178) (multiplicity 1)  5 O 2.01-2.22
Ti (0.5685, 0.3221, 0.3926) (multiplicity 1)  5 O 2.10-2.27
Ti (0.5839, 0.1409, 0.0125) (multiplicity 1)  3 O 1.97-2.09
Ti (0.5869, 0.4363, 0.8920) (multiplicity 1)  5 O 1.97-2.11
Ti (0.5899, 0.0925, 0.2682) (multiplicity 1)  3 O 1.97-2.01
Ti (0.5915, 0.6847, 0.9480) (multiplicity 1)  3 O 2.00-2.09
Ti (0.6276, 0.7527, 0.6739) (multiplicity 1)  4 O 1.86-2.01
Ti (0.7432, 0.0147, 0.7093) (multiplicity 1)  5 O 1.99-2.20
Ti (0.7473, 0.5637, 0.5095) (multiplicity 1)  4 O 1.89-2.05
Ti (0.7561, 0.6486, 0.2074) (multiplicity 1)  6 O 1.96-2.13
Ti (0.7662, 0.1003, 0.4505) (multiplicity 1)  4 O 2.00-2.21
Ti (0.7891, 0.8383, 0.9681) (multiplicity 1)  4 O 1.99-2.15
Ti (0.8134, 0.2577, 0.8386) (multiplicity 1)  5 O 2.01-2.19
Ti (0.8235, 0.8603, 0.4725) (multiplicity 1)  5 O 2.02-2.16
Ti (0.8353, 0.3476, 0.3493) (multiplicity 1)  5 O 1.96-2.11
Ti (0.8451, 0.2347, 0.1009) (multiplicity 1)  4 O 1.97-2.12
Ti (0.8586, 0.9068, 0.2090) (multiplicity 1)  4 O 1.94-2.15
Ti (0.9047, 0.5488, 0.9140) (multiplicity 1)  5 O 1.92-2.13
Ti (0.9752, 0.6819, 0.6614) (multiplicity 1)  3 O 1.93-2.06
O (0.0176, 0.8087, 0.5231) (multiplicity 1)  4 Ti 1.93-2.11
O (0.0200, 0.1394, 0.1193) (multiplicity 1)  3 Ti 1.99-2.13
O (0.0571, 0.8833, 0.1663) (multiplicity 1)  5 Ti 2.06-2.14
O (0.0855, 0.5704, 0.9798) (multiplicity 1)  4 Ti 1.95-2.14
O (0.1069, 0.5912, 0.4138) (multiplicity 1)  4 Ti 1.98-2.09
O (0.1401, 0.9407, 0.6875) (multiplicity 1)  3 Ti 1.97-2.05
O (0.1456, 0.1883, 0.7008) (multiplicity 1)  5 Ti 2.04-2.08
O (0.1727, 0.1633, 0.4509) (multiplicity 1)  5 Ti 2.04-2.19
O (0.1781, 0.3889, 0.2550) (multiplicity 1)  4 Ti 1.99-2.15
O (0.1991, 0.9010, 0.3717) (multiplicity 1)  5 Ti 2.02-2.24
O (0.2491, 0.9672, 0.0125) (multiplicity 1)  3 Ti 1.95-2.13
O (0.2512, 0.6841, 0.1024) (multiplicity 1)  5 Ti 2.02-2.15
O (0.3157, 0.6241, 0.6909) (multiplicity 1)  4 Ti 1.93-2.05
O (0.3412, 0.6834, 0.3380) (multiplicity 1)  4 Ti 2.00-2.20
O (0.3706, 0.9703, 0.5175) (multiplicity 1)  2 Ti 1.93-2.00
O (0.3836, 0.8929, 0.7917) (multiplicity 1)  4 Ti 1.96-2.16
O (0.3957, 0.1518, 0.7962) (multiplicity 1)  4 Ti 2.04-2.19
O (0.3987, 0.1717, 0.0554) (multiplicity 1)  4 Ti 1.97-2.07
O (0.4165, 0.4447, 0.2764) (multiplicity 1)  6 Ti 2.14-2.30
O (0.4262, 0.3939, 0.7492) (multiplicity 1)  4 Ti 2.02-2.08
O (0.4258, 0.9304, 0.2549) (multiplicity 1)  4 Ti 1.99-2.20
O (0.4320, 0.4172, 0.0100) (multiplicity 1)  4 Ti 1.94-2.11
O (0.4329, 0.1954, 0.3189) (multiplicity 1)  4 Ti 1.99-2.13
O (0.4434, 0.2523, 0.5478) (multiplicity 1)  5 Ti 2.00-2.22
O (0.4882, 0.7453, 0.5724) (multiplicity 1)  2 Ti 1.86-1.91
O (0.5520, 0.6187, 0.7898) (multiplicity 1)  4 Ti 1.95-2.11
O (0.5635, 0.6561, 0.1413) (multiplicity 1)  4 Ti 1.99-2.13
O (0.5828, 0.4718, 0.4970) (multiplicity 1)  4 Ti 1.99-2.10
O (0.6557, 0.9441, 0.5644) (multiplicity 1)  3 Ti 1.95-2.16
O (0.6651, 0.8497, 0.8124) (multiplicity 1)  4 Ti 2.01-2.15
O (0.6672, 0.1191, 0.8374) (multiplicity 1)  5 Ti 2.00-2.19
O (0.6790, 0.3773, 0.7408) (multiplicity 1)  3 Ti 2.01-2.04
O (0.6887, 0.6900, 0.3802) (multiplicity 1)  2 Ti 1.89-2.07
O (0.6948, 0.2902, 0.9952) (multiplicity 1)  4 Ti 1.97-2.11
O (0.7037, 0.4789, 0.2842) (multiplicity 1)  3 Ti 1.96-2.14
O (0.7137, 0.2276, 0.2779) (multiplicity 1)  4 Ti 2.01-2.21
O (0.7142, 0.8315, 0.1456) (multiplicity 1)  4 Ti 1.94-2.04
O (0.7215, 0.5370, 0.9449) (multiplicity 1)  3 Ti 1.92-2.00
O (0.7367, 0.9749, 0.3310) (multiplicity 1)  4 Ti 1.97-2.04
O (0.7921, 0.7019, 0.6043) (multiplicity 1)  4 Ti 1.90-2.09
O (0.8590, 0.1899, 0.6774) (multiplicity 1)  2 Ti 1.95-2.01
O (0.8664, 0.6674, 0.0388) (multiplicity 1)  4 Ti 1.99-2.11
O (0.8820, 0.9883, 0.5815) (multiplicity 1)  4 Ti 1.99-2.08
O (0.8858, 0.4183, 0.4959) (multiplicity 1)  3 Ti 1.96-2.05
O (0.8939, 0.9492, 0.8460) (multiplicity 1)  5 Ti 1.97-2.20
O (0.9216, 0.7090, 0.2491) (multiplicity 1)  4 Ti 1.96-2.15
O (0.9363, 0.3475, 0.9500) (multiplicity 1)  5 Ti 2.03-2.24
O (0.9379, 0.1721, 0.4052) (multiplicity 1)  5 Ti 2.00-2.21
O (0.9405, 0.3552, 0.1917) (multiplicity 1)  4 Ti 1.98-2.10
O (0.9911, 0.4983, 0.7513) (multiplicity 1)  5 Ti 2.06-2.19

Results
Total magnetization = 1.3 Bohr magnetons per cell

---

2.
First-principles (PBE) data for a geometry-optimized Ti3O5 structure, as listed in the Materials Project database.

a b c (Å): 3.7965 9.8953 10.0712
angles (deg): 90.00 90.00 90.00
With the nearest neighbours (Å) after each atom.
Space group Cmcm (No. 63)
Asymmetric unit:
Ti (0.0000, 0.1306, 0.0573) (multiplicity 8)  4 O 1.92-1.97
Ti (0.0000, 0.1983, 0.7500) (multiplicity 4)  6 O 1.94-2.17
O (0.0000, 0.0515, 0.6227) (multiplicity 8)  3 Ti 1.92-1.97
O (0.0000, 0.2325, 0.2500) (multiplicity 4)  4 Ti 2.02-2.19
O (0.0000, 0.3171, 0.5690) (multiplicity 8)  3 Ti 1.97-2.17

Results
E above lowest polymorph = 0.5 kJ/mol of atoms

---

3.
First-principles (PBE) data for a geometry-optimized TiO2 structure, as listed in the Materials Project database.

a b c (Å): 5.4121 5.4133 5.4720
angles (deg): 90.00 118.77 90.00
With the nearest neighbours (Å) after each atom.
Space group C2/c (No. 15)
Asymmetric unit:
Ti (0.0000, 0.1341, 0.2500) (multiplicity 4)  6 O 1.93-2.00
O (0.2100, 0.1212, 0.6671) (multiplicity 8)  3 Ti 1.93-2.00

Results
Total magnetization = 0.0 Bohr magnetons per cell

---

4.
First-principles (PBE) data for a geometry-optimized TiO2 structure, as listed in the Materials Project database.

a b c (Å): 5.5971 3.6547 8.7730
angles (deg): 90.00 90.00 90.00
With the nearest neighbours (Å) after each atom.
Space group Pnma (No. 62)
Asymmetric unit:
Ti (0.1070, 0.2500, 0.1279) (multiplicity 4)  4 O 1.78-1.94
O (0.0784, 0.7500, 0.7075) (multiplicity 4)  2 Ti 1.78-1.89
O (0.1212, 0.7500, 0.0555) (multiplicity 4)  3 Ti 1.94-2.05

---

5.
First-principles (PBE) data for a geometry-optimized Ti3O5 structure, as listed in the Materials Project database.

a b c (Å): 10.8053 10.8518 10.9589
angles (deg): 91.53 90.41 91.32
With the nearest neighbours (Å) after each atom.
Space group P1 (No. 1)
Asymmetric unit:
Ti (0.0000, 0.0000, 0.0000) (multiplicity 1)  4 O 1.84-2.06
Ti (0.0021, 0.2501, 0.7273) (multiplicity 1)  6 O 1.96-2.11
Ti (0.0311, 0.2173, 0.2350) (multiplicity 1)  5 O 1.91-2.08
Ti (0.0454, 0.5366, 0.3139) (multiplicity 1)  4 O 1.91-2.03
Ti (0.0935, 0.3061, 0.9873) (multiplicity 1)  4 O 1.91-2.04
Ti (0.1061, 0.7405, 0.5777) (multiplicity 1)  5 O 1.85-2.08
Ti (0.1386, 0.5882, 0.0757) (multiplicity 1)  5 O 1.95-2.07
Ti (0.1486, 0.0341, 0.5186) (multiplicity 1)  3 O 1.78-1.97
Ti (0.1821, 0.2822, 0.4397) (multiplicity 1)  4 O 1.86-2.07
Ti (0.2310, 0.8494, 0.9941) (multiplicity 1)  5 O 1.89-2.09
Ti (0.2539, 0.9897, 0.7658) (multiplicity 1)  2 O 1.77-1.93
Ti (0.2786, 0.4292, 0.2308) (multiplicity 1)  5 O 1.97-2.10
Ti (0.2858, 0.5884, 0.7069) (multiplicity 1)  4 O 1.83-1.99
Ti (0.2916, 0.1305, 0.1331) (multiplicity 1)  3 O 1.75-1.95
Ti (0.3472, 0.2904, 0.8437) (multiplicity 1)  6 O 1.97-2.11
Ti (0.3706, 0.6734, 0.1985) (multiplicity 1)  5 O 1.90-2.06
Ti (0.4061, 0.8183, 0.4941) (multiplicity 1)  6 O 1.96-2.09
Ti (0.4342, 0.5424, 0.4335) (multiplicity 1)  4 O 1.91-1.99
Ti (0.4372, 0.3215, 0.5382) (multiplicity 1)  3 O 1.88-2.08
Ti (0.4473, 0.0568, 0.5567) (multiplicity 1)  5 O 1.93-2.11
Ti (0.4604, 0.7515, 0.9406) (multiplicity 1)  5 O 1.88-2.10
Ti (0.4627, 0.9324, 0.2323) (multiplicity 1)  6 O 1.95-2.17
Ti (0.5019, 0.4988, 0.8081) (multiplicity 1)  4 O 1.89-2.08
Ti (0.6019, 0.3931, 0.0715) (multiplicity 1)  4 O 1.83-1.94
Ti (0.6098, 0.1422, 0.2998) (multiplicity 1)  5 O 1.92-2.08
Ti (0.6105, 0.9598, 0.7659) (multiplicity 1)  5 O 1.91-2.00
Ti (0.6635, 0.7724, 0.5773) (multiplicity 1)  5 O 1.94-2.08
Ti (0.6853, 0.4376, 0.3345) (multiplicity 1)  3 O 1.75-1.86
Ti (0.7229, 0.7508, 0.9110) (multiplicity 1)  5 O 1.93-2.16
Ti (0.7280, 0.0847, 0.5372) (multiplicity 1)  4 O 1.91-1.94
Ti (0.8067, 0.5296, 0.6859) (multiplicity 1)  4 O 1.78-1.97
Ti (0.8103, 0.9196, 0.1722) (multiplicity 1)  5 O 1.90-2.09
Ti (0.8126, 0.6562, 0.2080) (multiplicity 1)  5 O 1.85-2.02
Ti (0.8177, 0.1784, 0.9407) (multiplicity 1)  4 O 1.80-1.95
Ti (0.8607, 0.9781, 0.7440) (multiplicity 1)  6 O 2.06-2.29
Ti (0.8779, 0.4432, 0.0275) (multiplicity 1)  3 O 1.88-2.06
Ti (0.8955, 0.7836, 0.4649) (multiplicity 1)  4 O 1.89-2.05
Ti (0.9214, 0.2634, 0.4834) (multiplicity 1)  4 O 1.93-2.16
Ti (0.9853, 0.7351, 0.8324) (multiplicity 1)  5 O 1.88-2.06
O (0.0331, 0.3645, 0.3583) (multiplicity 1)  4 Ti 1.94-2.14
O (0.0328, 0.6396, 0.4572) (multiplicity 1)  2 Ti 1.85-1.91
O (0.0568, 0.8852, 0.4781) (multiplicity 1)  3 Ti 1.92-2.04
O (0.0581, 0.1352, 0.4025) (multiplicity 1)  3 Ti 1.97-2.09
O (0.0855, 0.7281, 0.9733) (multiplicity 1)  3 Ti 1.88-2.03
O (0.0910, 0.3032, 0.5820) (multiplicity 1)  2 Ti 1.86-1.96
O (0.0999, 0.1428, 0.0741) (multiplicity 1)  4 Ti 2.02-2.17
O (0.1088, 0.0728, 0.6718) (multiplicity 1)  1 Ti 1.78
O (0.1129, 0.6445, 0.7258) (multiplicity 1)  3 Ti 1.95-2.06
O (0.1370, 0.9636, 0.8958) (multiplicity 1)  3 Ti 1.92-1.96
O (0.1612, 0.2729, 0.8300) (multiplicity 1)  3 Ti 1.91-2.05
O (0.2019, 0.6040, 0.2531) (multiplicity 1)  4 Ti 1.96-2.10
O (0.2062, 0.4237, 0.0620) (multiplicity 1)  3 Ti 1.91-2.00
O (0.2172, 0.2496, 0.2490) (multiplicity 1)  4 Ti 1.98-2.15
O (0.2747, 0.7049, 0.5537) (multiplicity 1)  2 Ti 1.89-1.98
O (0.2912, 0.9419, 0.5860) (multiplicity 1)  4 Ti 2.00-2.11
O (0.2970, 0.9515, 0.1219) (multiplicity 1)  2 Ti 1.89-1.95
O (0.3018, 0.4609, 0.8114) (multiplicity 1)  2 Ti 1.83-1.97
O (0.3029, 0.6773, 0.0311) (multiplicity 1)  4 Ti 1.97-2.13
O (0.3077, 0.1689, 0.5088) (multiplicity 1)  4 Ti 2.01-2.24
O (0.3215, 0.3974, 0.4021) (multiplicity 1)  4 Ti 1.97-2.13
O (0.3372, 0.2063, 0.0012) (multiplicity 1)  1 Ti 1.75
O (0.3412, 0.8614, 0.8573) (multiplicity 1)  3 Ti 1.93-2.01
O (0.3593, 0.1166, 0.7720) (multiplicity 1)  1 Ti 1.77
O (0.3594, 0.8046, 0.3209) (multiplicity 1)  3 Ti 1.94-2.03
O (0.3741, 0.4980, 0.5933) (multiplicity 1)  2 Ti 1.85-1.94
O (0.4264, 0.6608, 0.7815) (multiplicity 1)  3 Ti 1.87-2.01
O (0.4406, 0.1138, 0.2248) (multiplicity 1)  3 Ti 1.91-2.01
O (0.4498, 0.5225, 0.2301) (multiplicity 1)  2 Ti 1.90-2.09
O (0.4627, 0.3229, 0.7084) (multiplicity 1)  2 Ti 1.88-1.98
O (0.4792, 0.3930, 0.9488) (multiplicity 1)  3 Ti 1.88-2.11
O (0.4904, 0.7873, 0.1274) (multiplicity 1)  3 Ti 1.95-2.10
O (0.4959, 0.9642, 0.4110) (multiplicity 1)  3 Ti 1.95-2.07
O (0.5150, 0.8808, 0.6286) (multiplicity 1)  3 Ti 1.98-2.08
O (0.5292, 0.6859, 0.4910) (multiplicity 1)  3 Ti 1.93-1.98
O (0.5482, 0.1883, 0.4577) (multiplicity 1)  3 Ti 1.92-2.10
O (0.5634, 0.4279, 0.4535) (multiplicity 1)  3 Ti 1.86-2.01
O (0.5843, 0.8736, 0.9182) (multiplicity 1)  3 Ti 1.88-2.03
O (0.5949, 0.0968, 0.6515) (multiplicity 1)  3 Ti 1.92-1.98
O (0.5952, 0.6227, 0.9263) (multiplicity 1)  3 Ti 1.95-2.08
O (0.6180, 0.3015, 0.2199) (multiplicity 1)  3 Ti 1.94-2.03
O (0.6439, 0.9865, 0.2148) (multiplicity 1)  3 Ti 1.95-2.04
O (0.6451, 0.5042, 0.7100) (multiplicity 1)  2 Ti 1.78-1.89
O (0.7138, 0.6057, 0.3350) (multiplicity 1)  2 Ti 1.84-1.85
O (0.7205, 0.0757, 0.8482) (multiplicity 1)  2 Ti 1.80-1.91
O (0.7213, 0.8161, 0.7413) (multiplicity 1)  3 Ti 1.94-2.01
O (0.7224, 0.3217, 0.9785) (multiplicity 1)  2 Ti 1.83-1.92
O (0.7307, 0.5049, 0.1281) (multiplicity 1)  3 Ti 1.91-2.06
O (0.7657, 0.7726, 0.0820) (multiplicity 1)  3 Ti 1.90-1.97
O (0.7733, 0.9128, 0.5263) (multiplicity 1)  3 Ti 1.94-2.05
O (0.7840, 0.1398, 0.3813) (multiplicity 1)  2 Ti 1.92-2.08
O (0.8082, 0.3814, 0.4204) (multiplicity 1)  2 Ti 1.75-1.93
O (0.8085, 0.6595, 0.5676) (multiplicity 1)  3 Ti 1.94-2.01
O (0.8380, 0.8146, 0.3055) (multiplicity 1)  3 Ti 1.89-2.01
O (0.8426, 0.0800, 0.0749) (multiplicity 1)  1 Ti 1.86
O (0.8493, 0.6138, 0.8430) (multiplicity 1)  3 Ti 1.96-2.16
O (0.8720, 0.1392, 0.6265) (multiplicity 1)  2 Ti 1.91-2.11
O (0.8875, 0.8786, 0.8996) (multiplicity 1)  4 Ti 2.03-2.24
O (0.8899, 0.3863, 0.6645) (multiplicity 1)  1 Ti 1.83
O (0.9386, 0.3324, 0.8911) (multiplicity 1)  4 Ti 2.00-2.18
O (0.9520, 0.3243, 0.1243) (multiplicity 1)  2 Ti 1.88-1.91
O (0.9552, 0.1091, 0.8493) (multiplicity 1)  4 Ti 1.95-2.12
O (0.9653, 0.5743, 0.1515) (multiplicity 1)  4 Ti 1.99-2.14
O (0.9815, 0.8323, 0.6888) (multiplicity 1)  2 Ti 1.92-2.08
O (0.9851, 0.9185, 0.1448) (multiplicity 1)  2 Ti 1.84-1.91

Results
Total magnetization = 6.0 Bohr magnetons per cell
E above lowest polymorph = 19.2 kJ/mol of atoms

---

6.
First-principles (PBE) data for a geometry-optimized TiO2 structure, as listed in the Materials Project database.

a b c (Å): 4.6533 4.6533 2.9692
angles (deg): 90.00 90.00 90.00
With the nearest neighbours (Å) after each atom.
Space group P4_2/mnm (No. 136)
Asymmetric unit:
Ti (0.0000, 0.0000, 0.0000) (multiplicity 2)  6 O 1.96-2.00
O (0.1954, 0.1954, 0.5000) (multiplicity 4)  3 Ti 1.96-2.00

---

no.,energy (eV per atom),ΔH_f (0 K) (eV/atom)
1,-8.671,-2.593
2,-8.999,-3.375
3,-8.966,-3.494
4,-8.942,-3.470
5,-8.805,-3.181
6,-8.937,-3.464